Record 1
VASP calculation (PBE) on a relaxed structure of Tb2Si4Mo3.

Cell: 6.8899 6.9504 6.7681 Å, 90.00 108.96 90.00°
Fractional positions:
Tb1 0.1904 0.1685 0.0607
Tb2 0.1904 0.3315 0.5607
Tb3 0.8096 0.6685 0.4393
Tb4 0.8096 0.8315 0.9393
Si1 0.0908 0.5449 0.8696
Si2 0.0908 0.9551 0.3696
Si3 0.4948 0.6323 0.6294
Si4 0.4948 0.8677 0.1294
Si5 0.5052 0.1323 0.8706
Si6 0.5052 0.3677 0.3706
Si7 0.9092 0.0449 0.6304
Si8 0.9092 0.4551 0.1304
Mo1 0.2493 0.6628 0.2504
Mo2 0.2493 0.8372 0.7504
Mo3 0.5000 0.0000 0.5000
Mo4 0.5000 0.5000 0.0000
Mo5 0.7507 0.1628 0.2496
Mo6 0.7507 0.3372 0.7496

- E: -7.72 eV per atom
- Space-group type: No. 14
- Crystal system: monoclinic
- E_form: -5.97 eV per formula unit

Record 2
VASP calculation (PBE) on a relaxed structure of In3Cl.

Cell: 6.5810 6.5810 6.1189 Å, 90.00 90.00 120.00°
Fractional positions:
In1 0.1651 0.3302 0.2500
In2 0.1651 0.8349 0.2500
In3 0.3302 0.1651 0.7500
In4 0.6698 0.8349 0.2500
In5 0.8349 0.1651 0.7500
In6 0.8349 0.6698 0.7500
Cl1 0.3333 0.6667 0.7500
Cl2 0.6667 0.3333 0.2500

- E: -2.72 eV per atom
- Space-group type: No. 194
- Crystal system: hexagonal
- MP2020-corrected energy: -2.874 eV/atom
- Size of the total moment: 0.00 μB per formula unit
- E_form: -1.39 eV per formula unit

Record 3
VASP calculation (PBE) on a relaxed structure of Na8Ta2Zn2Si5SO24.

Cell: 9.1387 9.1650 22.3030 Å, 89.76 89.93 60.13°
Fractional positions:
Na1 0.0000 0.0000 0.0000
Na2 0.0051 0.9335 0.6592
Na3 0.0079 0.3328 0.1676
Na4 0.2652 0.3363 0.6657
Na5 0.2781 0.6583 0.1676
Na6 0.3117 0.9686 0.5868
Na7 0.3183 0.9730 0.0785
Na8 0.3254 0.5927 0.8278
Na9 0.3339 0.3405 0.3349
Na10 0.3399 0.2557 0.0006
Na11 0.3587 0.6222 0.5160
Na12 0.6090 0.6611 0.0054
Na13 0.6215 0.0155 0.5114
Na14 0.6490 0.3067 0.4255
Na15 0.6511 0.2930 0.9142
Na16 0.6611 0.6530 0.6615
Na17 0.6613 0.9262 0.1624
Na18 0.6707 0.9963 0.8390
Na19 0.6866 0.5837 0.3354
Na20 0.9319 0.9898 0.3400
Na21 0.9470 0.3235 0.8319
Na22 0.9680 0.2770 0.5155
Na23 0.9827 0.6277 0.2505
Na24 0.9938 0.6286 0.7458
Ta1 0.2944 0.9822 0.7364
Ta2 0.3142 0.9726 0.4428
Ta3 0.3253 0.9708 0.2362
Ta4 0.6347 0.3152 0.0665
Ta5 0.9843 0.6378 0.4030
Ta6 0.9909 0.6358 0.9058
Zn1 0.3025 0.9884 0.9409
Zn2 0.6359 0.3220 0.2774
Zn3 0.6455 0.3080 0.7664
Zn4 0.6529 0.3243 0.5685
Zn5 0.9822 0.6294 0.1011
Zn6 0.9930 0.6264 0.6000
Si1 0.0149 0.9727 0.8430
Si2 0.0250 0.2644 0.3381
Si3 0.2724 0.6448 0.0099
Si4 0.2775 0.3424 0.5067
Si5 0.3107 0.6844 0.3388
Si6 0.3181 0.2662 0.8421
Si7 0.3542 0.3071 0.1759
Si8 0.3551 0.6005 0.6735
Si9 0.6126 0.9695 0.3400
Si10 0.6497 0.5981 0.1755
Si11 0.6897 0.6435 0.5071
Si12 0.6914 0.9311 0.0088
Si13 0.9341 0.3122 0.6732
Si14 0.9801 0.3448 0.0085
Si15 0.9814 0.9310 0.5070
S1 0.6094 0.6847 0.8412
S2 0.6424 0.0104 0.6747
S3 0.9408 0.0194 0.1739
O1 0.0072 0.7924 0.8446
O2 0.0135 0.4214 0.0674
O3 0.0163 0.4488 0.3428
O4 0.0269 0.8125 0.5652
O5 0.1038 0.9960 0.9005
O6 0.1125 0.0093 0.1749
O7 0.1272 0.1435 0.3953
O8 0.1340 0.4527 0.8454
O9 0.1353 0.6749 0.3423
O10 0.1364 0.1352 0.6809
O11 0.1376 0.1573 0.0024
O12 0.1448 0.9422 0.7836
O13 0.1521 0.1668 0.2793
O14 0.1528 0.9511 0.4972
O15 0.1601 0.4070 0.5652
O16 0.1613 0.6378 0.6705
O17 0.1610 0.6765 0.0684
O18 0.1683 0.4703 0.1697
O19 0.1742 0.4673 0.4472
O20 0.1802 0.6054 0.9503
O21 0.2817 0.8092 0.2794
O22 0.2905 0.1647 0.7837
O23 0.2960 0.1535 0.4962
O24 0.3137 0.7929 0.9988
O25 0.3300 0.7875 0.3952
O26 0.3424 0.1276 0.1765
O27 0.3453 0.7935 0.6835
O28 0.3514 0.1526 0.9006
O29 0.4343 0.4907 0.7341
O30 0.4431 0.3264 0.2344
O31 0.4574 0.4601 0.0116
O32 0.4617 0.3248 0.5071
O33 0.4651 0.7850 0.1771
O34 0.4723 0.5304 0.6140
O35 0.4755 0.2990 0.8346
O36 0.4758 0.5021 0.3394
O37 0.4833 0.2735 0.1158
O38 0.4858 0.9900 0.6820
O39 0.4870 0.9923 0.3957
O40 0.4983 0.8114 0.4968
O41 0.5049 0.9573 0.0007
O42 0.5116 0.7619 0.8951
O43 0.5151 0.9389 0.2805
O44 0.5264 0.7907 0.7865
O45 0.6089 0.1137 0.6207
O46 0.6197 0.4984 0.1158
O47 0.6333 0.1321 0.3355
O48 0.6350 0.5132 0.8360
O49 0.6639 0.0882 0.7296
O50 0.6749 0.4756 0.5039
O51 0.6834 0.4831 0.2336
O52 0.6844 0.1186 0.0125
O53 0.7600 0.6909 0.5655
O54 0.7740 0.8230 0.0680
O55 0.7814 0.6738 0.8428
O56 0.7911 0.8403 0.6708
O57 0.7944 0.7926 0.3428
O58 0.8008 0.3365 0.0127
O59 0.8043 0.6350 0.1691
O60 0.8123 0.6234 0.4474
O61 0.8141 0.1137 0.5056
O62 0.8194 0.8336 0.9488
O63 0.8285 0.1326 0.8341
O64 0.8352 0.3289 0.7353
O65 0.8433 0.0957 0.2278
O66 0.8435 0.2785 0.3360
O67 0.8571 0.1259 0.1188
O68 0.8714 0.2544 0.6145
O69 0.9460 0.4749 0.9489
O70 0.9623 0.4736 0.6698
O71 0.9649 0.8275 0.4467
O72 0.9669 0.8482 0.1683

- E: -6.71 eV per atom
- Space-group type: No. 1
- Crystal system: triclinic
- MP2020-corrected energy: -7.106 eV/atom
- Size of the total moment: 0.00 μB per formula unit
- E_form: -111.61 eV per formula unit

Record 4
VASP calculation (PBE) on a relaxed structure of LiMg5.

Cell: 11.4407 3.2332 7.4442 Å, 90.00 104.59 90.00°
Fractional positions:
Li1 0.0000 0.0000 0.0000
Li2 0.5000 0.5000 0.0000
Mg1 0.1107 0.5000 0.7261
Mg2 0.1651 0.5000 0.3297
Mg3 0.2788 0.0000 0.0554
Mg4 0.3335 0.0000 0.6678
Mg5 0.4448 0.5000 0.3876
Mg6 0.6107 0.0000 0.7261
Mg7 0.6651 0.0000 0.3297
Mg8 0.7788 0.5000 0.0554
Mg9 0.8335 0.5000 0.6678
Mg10 0.9448 0.0000 0.3876

- E: -1.66 eV per atom
- Space-group type: No. 8
- Crystal system: monoclinic
- E above lowest polymorph: 29 meV/atom
- E_form: -0.07 eV per formula unit

Record 5
VASP calculation (PBE) on a relaxed structure of LuNiP.

Cell: 3.8459 3.8459 15.0201 Å, 90.00 90.00 120.00°
Fractional positions:
Lu1 0.0000 0.0000 0.0000
Lu2 0.0000 0.0000 0.2500
Lu3 0.0000 0.0000 0.5000
Lu4 0.0000 0.0000 0.7500
Ni1 0.3333 0.6667 0.1299
Ni2 0.3333 0.6667 0.3701
Ni3 0.6667 0.3333 0.6299
Ni4 0.6667 0.3333 0.8701
P1 0.3333 0.6667 0.6207
P2 0.3333 0.6667 0.8793
P3 0.6667 0.3333 0.1207
P4 0.6667 0.3333 0.3793

- E: -6.45 eV per atom
- Space-group type: No. 194
- Crystal system: hexagonal
- E_form: -3.63 eV per formula unit

Record 6
VASP calculation (PBE) on a relaxed structure of PrGa3Co10.

Cell: 8.1150 8.0700 7.9828 Å, 60.73 60.17 59.10°
Fractional positions:
Pr1 0.0000 0.0000 0.5000
Pr2 0.5000 0.5000 0.0000
Ga1 0.0558 0.7004 0.9442
Ga2 0.3078 0.9522 0.0478
Ga3 0.4496 0.8056 0.5504
Ga4 0.7004 0.0558 0.2996
Ga5 0.8056 0.4496 0.1944
Ga6 0.9522 0.3078 0.6922
Co1 0.0479 0.8036 0.1964
Co2 0.0523 0.4521 0.3107
Co3 0.1907 0.9626 0.8093
Co4 0.1925 0.3170 0.0459
Co5 0.1943 0.5464 0.4536
Co6 0.2533 0.2533 0.7467
Co7 0.3157 0.5366 0.6843
Co8 0.3170 0.1925 0.4447
Co9 0.4521 0.0523 0.1849
Co10 0.4534 0.6911 0.3089
Co11 0.5366 0.3157 0.4634
Co12 0.5464 0.1943 0.8057
Co13 0.5553 0.9541 0.6830
Co14 0.6893 0.8151 0.9477
Co15 0.6911 0.4534 0.5466
Co16 0.7528 0.7528 0.2472
Co17 0.8036 0.0479 0.9521
Co18 0.8151 0.6893 0.5479
Co19 0.9541 0.5553 0.8075
Co20 0.9626 0.1907 0.0374

- E: -6.24 eV per atom
- Space-group type: No. 42
- Crystal system: orthorhombic
- Size of the total moment: 11.71 μB per formula unit
- E_form: -2.44 eV per formula unit

Record 7
VASP calculation (PBE) on a relaxed structure of Nb2Cu3O8.

Cell: 5.2590 5.5257 6.2142 Å, 73.53 81.79 66.66°
Fractional positions:
Nb1 0.2182 0.0420 0.1539
Nb2 0.7818 0.9580 0.8461
Cu1 0.0000 0.5000 0.5000
Cu2 0.4637 0.5669 0.7464
Cu3 0.5363 0.4331 0.2536
O1 0.1700 0.8142 0.8988
O2 0.2388 0.7004 0.3928
O3 0.2628 0.2457 0.3329
O4 0.3690 0.2374 0.8759
O5 0.6310 0.7626 0.1241
O6 0.7372 0.7543 0.6671
O7 0.7612 0.2996 0.6072
O8 0.8300 0.1858 0.1012

- E: -7.12 eV per atom
- Space-group type: No. 2
- Crystal system: triclinic
- MP2020-corrected energy: -7.548 eV/atom
- Size of the total moment: 2.99 μB per formula unit
- E_form: -26.04 eV per formula unit

Record 8
VASP calculation (PBE) on a relaxed structure of La2MgCuO4.

Cell: 10.6238 10.6117 3.4706 Å, 80.79 80.40 18.81°
Fractional positions:
La1 0.1183 0.1183 0.8817
La2 0.8817 0.8817 0.1183
Mg1 0.2500 0.2500 0.2500
Cu1 0.5000 0.5000 0.5000
O1 0.3077 0.3077 0.6923
O2 0.5508 0.5508 0.9492
O3 0.6923 0.6923 0.3077
O4 0.9492 0.9492 0.5508

- E: -6.49 eV per atom
- Space-group type: No. 22
- Crystal system: orthorhombic
- E above lowest polymorph: 86 meV/atom
- MP2020-corrected energy: -6.835 eV/atom
- Size of the total moment: 0.00 μB per formula unit
- E_form: -19.31 eV per formula unit

Record 9
VASP calculation (PBE) on a relaxed structure of SrDy3.

Cell: 5.1883 5.1883 10.4284 Å, 90.00 90.00 90.00°
Fractional positions:
Sr1 0.0000 0.0000 0.0000
Sr2 0.5000 0.5000 0.5000
Dy1 0.0000 0.0000 0.5000
Dy2 0.0000 0.5000 0.2500
Dy3 0.0000 0.5000 0.7500
Dy4 0.5000 0.0000 0.2500
Dy5 0.5000 0.0000 0.7500
Dy6 0.5000 0.5000 0.0000

- E: -3.67 eV per atom
- Space-group type: No. 139
- Crystal system: tetragonal
- Size of the total moment: 0.02 μB per formula unit
- E_form: 0.85 eV per formula unit

Record 10
VASP calculation (PBE) on a relaxed structure of Rb2Ag4S3.

Cell: 9.3804 9.3804 12.0015 Å, 107.98 107.98 26.81°
Fractional positions:
Rb1 0.1679 0.1679 0.3408
Rb2 0.3109 0.3109 0.1568
Rb3 0.6891 0.6891 0.8432
Rb4 0.8321 0.8321 0.6592
Ag1 0.0883 0.0883 0.5876
Ag2 0.0892 0.0892 0.0085
Ag3 0.4820 0.4820 0.8677
Ag4 0.4892 0.4892 0.6249
Ag5 0.5108 0.5108 0.3751
Ag6 0.5180 0.5180 0.1323
Ag7 0.9108 0.9108 0.9915
Ag8 0.9117 0.9117 0.4124
S1 0.0339 0.0339 0.7748
S2 0.3483 0.3483 0.8929
S3 0.3619 0.3619 0.4599
S4 0.6381 0.6381 0.5401
S5 0.6517 0.6517 0.1071
S6 0.9661 0.9661 0.2252

- E: -3.32 eV per atom
- Space-group type: No. 12
- Crystal system: monoclinic
- MP2020-corrected energy: -3.491 eV/atom
- E_form: -5.72 eV per formula unit

Record 11
VASP calculation (PBE) on a relaxed structure of Mg14NbCdO16.

Cell: 4.3142 8.6956 8.7678 Å, 90.00 90.00 90.00°
Fractional positions:
Mg1 0.0000 0.0000 0.0000
Mg2 0.0000 0.0000 0.5000
Mg3 0.0000 0.2446 0.2493
Mg4 0.0000 0.2446 0.7507
Mg5 0.0000 0.7554 0.2493
Mg6 0.0000 0.7554 0.7507
Mg7 0.5000 0.0000 0.2497
Mg8 0.5000 0.0000 0.7503
Mg9 0.5000 0.2438 0.0000
Mg10 0.5000 0.2440 0.5000
Mg11 0.5000 0.5000 0.2472
Mg12 0.5000 0.5000 0.7528
Mg13 0.5000 0.7562 0.0000
Mg14 0.5000 0.7560 0.5000
Nb1 0.0000 0.5000 0.5000
Cd1 0.0000 0.5000 0.0000
O1 0.0000 0.0000 0.2521
O2 0.0000 0.0000 0.7479
O3 0.0000 0.2320 0.0000
O4 0.0000 0.2380 0.5000
O5 0.0000 0.5000 0.2548
O6 0.0000 0.5000 0.7452
O7 0.0000 0.7620 0.5000
O8 0.0000 0.7680 0.0000
O9 0.5000 0.0000 0.0000
O10 0.5000 0.0000 0.5000
O11 0.5000 0.2511 0.2504
O12 0.5000 0.2511 0.7496
O13 0.5000 0.5000 0.0000
O14 0.5000 0.5000 0.5000
O15 0.5000 0.7489 0.2504
O16 0.5000 0.7489 0.7496

- E: -5.94 eV per atom
- Space-group type: No. 47
- Crystal system: orthorhombic
- E above lowest polymorph: 9 meV/atom
- MP2020-corrected energy: -6.283 eV/atom
- Size of the total moment: 2.09 μB per formula unit
- E_form: -88.47 eV per formula unit

Record 12
VASP calculation (PBE) on a relaxed structure of Na2ZnSn2S6.

Cell: 12.5574 7.5647 13.6882 Å, 65.19 33.15 81.66°
Fractional positions:
Na1 0.1221 0.8779 0.2830
Na2 0.5330 0.9670 0.3721
Na3 0.8779 0.1221 0.7170
Na4 0.9670 0.5330 0.1279
Zn1 0.2388 0.2388 0.7612
Zn2 0.4888 0.4888 0.0112
Sn1 0.4985 0.5229 0.7243
Sn2 0.5229 0.4985 0.2543
Sn3 0.5257 0.9957 0.7515
Sn4 0.9957 0.5257 0.7271
S1 0.1733 0.9411 0.9836
S2 0.2664 0.3479 0.0767
S3 0.2928 0.5510 0.7399
S4 0.3479 0.2664 0.3089
S5 0.3786 0.7591 0.3499
S6 0.5101 0.8338 0.9572
S7 0.5510 0.2928 0.4162
S8 0.7376 0.9001 0.4909
S9 0.7591 0.3786 0.5124
S10 0.8338 0.5101 0.6990
S11 0.9001 0.7376 0.8714
S12 0.9411 0.1733 0.9021

- E: -4.05 eV per atom
- Space-group type: No. 43
- Crystal system: orthorhombic
- MP2020-corrected energy: -4.320 eV/atom
- Piezoelectric modulus e_max: 0.67 C/m²
- Size of the total moment: 0.00 μB per formula unit
- E_form: -10.78 eV per formula unit